Entry from Materials Project: an optimized crystal structure of YGe2Pt2 (PBE).

Its space-group type is Pmn2_1 (31). The total energy comes out at -6.43 eV/atom. Its energy relative to the elements is -862 meV per atom.

Cell and atoms, written as POSCAR:
```
YGe2Pt2
1.0
4.331 0.000 0.000
0.000 10.193 0.000
0.000 0.000 4.315
Y Ge Pt
2 4 4
direct
0.000 0.250 0.000 Y
0.500 0.750 0.500 Y
0.000 0.001 0.520 Ge
0.000 0.635 0.976 Ge
0.500 0.365 0.476 Ge
0.500 0.999 0.020 Ge
0.000 0.500 0.474 Pt
0.000 0.873 0.021 Pt
0.500 0.127 0.521 Pt
0.500 0.500 0.974 Pt
```